Entry 1:
Computed, not measured: a relaxed Li5V3CrO8 crystal at the GGA+U level of DFT.

a b c (Å): 5.914 5.914 9.945
angles (deg): 90.00 90.00 120.00
Fractional positions:
O 0.000 0.000 0.824
O 0.835 0.669 0.090
V 0.170 0.830 0.212
O 0.331 0.165 0.090
O 0.165 0.835 0.590
O 0.835 0.165 0.090
V 0.830 0.170 0.712
O 0.000 0.000 0.324
V 0.170 0.340 0.212
O 0.669 0.835 0.590
O 0.511 0.022 0.840
Li 0.804 0.607 0.445
O 0.489 0.511 0.340
O 0.333 0.667 0.091
Li 0.000 0.000 0.014
V 0.830 0.660 0.712
Li 0.667 0.333 0.225
Li 0.607 0.804 0.945
Li 0.393 0.196 0.445
V 0.340 0.170 0.712
Li 0.804 0.196 0.445
Cr 0.667 0.333 0.974
O 0.489 0.978 0.340
Li 0.000 0.000 0.514
Li 0.196 0.393 0.945
O 0.022 0.511 0.340
Cr 0.333 0.667 0.474
Li 0.333 0.667 0.725
V 0.660 0.830 0.212
O 0.511 0.489 0.840
Li 0.196 0.804 0.945
O 0.978 0.489 0.840
O 0.667 0.333 0.591
O 0.165 0.331 0.590

Summary:
- excess energy over the best structure of this formula in the dataset (eV/atom) = 0.0180
- formation energy from the elements (eV per atom) = -2.27
- calculated total energy (eV per atom) = -6.59
- magnetic moment (μB/f.u.) = 10.0

***

Entry 2:
Computed, not measured: a relaxed CsMoPO6 crystal at the GGA+U level of DFT.

a b c (Å): 8.573 8.573 9.910
angles (deg): 111.65 111.65 98.45
Fractional positions:
O 0.310 0.731 0.408
O 0.690 0.269 0.592
O 0.191 0.545 0.611
Cs 0.068 0.318 0.250
O 0.677 0.598 0.908
Cs 0.682 0.932 0.250
O 0.333 0.480 0.874
O 0.809 0.455 0.389
O 0.480 0.333 0.374
O 0.598 0.677 0.408
O 0.520 0.667 0.626
Mo 0.159 0.841 0.250
Cs 0.932 0.682 0.750
O 0.402 0.323 0.592
Mo 0.409 0.591 0.750
O 0.934 0.080 0.889
O 0.323 0.402 0.092
P 0.505 0.755 0.510
P 0.245 0.495 0.990
O 0.080 0.934 0.389
O 0.545 0.191 0.111
O 0.959 0.606 0.126
O 0.606 0.959 0.626
P 0.755 0.505 0.010
O 0.455 0.809 0.889
O 0.920 0.066 0.611
O 0.269 0.690 0.092
P 0.495 0.245 0.490
Cs 0.318 0.068 0.750
O 0.731 0.310 0.908
Mo 0.591 0.409 0.250
O 0.394 0.041 0.374
Mo 0.841 0.159 0.750
O 0.667 0.520 0.126
O 0.041 0.394 0.874
O 0.066 0.920 0.111

Summary:
- formation energy from the elements (eV per atom) = -2.38
- calculated total energy (eV per atom) = -6.77
- magnetic moment (μB/f.u.) = 0.0

***

Entry 3:
Computed, not measured: a relaxed Li9Mn2Co5O16 crystal at the GGA+U level of DFT.

a b c (Å): 5.068 5.946 10.067
angles (deg): 105.12 101.15 91.00
Fractional positions:
Co 0.255 0.638 0.261
O 0.341 0.305 0.131
Co 0.745 0.362 0.739
O 0.129 0.943 0.360
Co 0.246 0.128 0.255
O 0.871 0.057 0.640
Li 0.500 0.000 0.500
O 0.602 0.672 0.378
O 0.414 0.784 0.620
Mn 0.006 0.747 0.000
O 0.143 0.456 0.384
O 0.894 0.558 0.121
O 0.897 0.054 0.119
Li 0.500 0.000 0.000
Co 0.500 0.500 0.500
Li 0.742 0.880 0.253
Li 0.253 0.618 0.742
Co 0.754 0.872 0.745
Li 0.258 0.120 0.747
O 0.659 0.695 0.869
O 0.642 0.201 0.882
Li 0.998 0.751 0.502
Li 0.002 0.249 0.498
Mn 0.994 0.253 0.000
Li 0.500 0.500 0.000
O 0.358 0.799 0.118
Li 0.747 0.382 0.258
O 0.106 0.442 0.879
O 0.103 0.946 0.881
O 0.398 0.328 0.622
O 0.586 0.216 0.380
O 0.857 0.544 0.616

Summary:
- excess energy over the best structure of this formula in the dataset (eV/atom) = 0.0501
- formation energy from the elements (eV per atom) = -1.81
- calculated total energy (eV per atom) = -5.80
- magnetic moment (μB/f.u.) = 12.0

***

Entry 4:
Computed, not measured: a relaxed Ca8Mn7CrO22 crystal at the GGA+U level of DFT.

a b c (Å): 7.682 7.682 7.654
angles (deg): 90.00 90.00 90.00
Fractional positions:
O 0.500 0.746 0.023
Ca 0.251 0.749 0.253
Mn 0.000 0.500 0.491
Mn 0.000 0.000 0.500
Ca 0.251 0.749 0.743
O 0.000 0.500 0.249
O 0.746 0.500 0.478
O 0.254 0.500 0.023
Mn 0.500 0.000 0.006
Ca 0.251 0.251 0.743
O 0.000 0.247 0.479
O 0.000 0.000 0.755
O 0.242 0.000 0.027
Ca 0.749 0.251 0.743
O 0.500 0.500 0.750
O 0.247 0.000 0.479
O 0.000 0.242 0.027
O 0.000 0.753 0.479
Ca 0.749 0.251 0.253
O 0.500 0.000 0.249
O 0.000 0.500 0.750
O 0.500 0.254 0.478
O 0.500 0.254 0.023
Ca 0.749 0.749 0.743
Cr 0.000 0.000 0.993
O 0.746 0.500 0.023
O 0.254 0.500 0.478
O 0.500 0.000 0.750
O 0.758 0.000 0.027
Mn 0.000 0.500 0.006
O 0.500 0.746 0.478
Ca 0.251 0.251 0.253
O 0.753 0.000 0.479
Ca 0.749 0.749 0.253
O 0.000 0.758 0.027
Mn 0.500 0.500 0.994
Mn 0.500 0.500 0.504
Mn 0.500 0.000 0.491

Summary:
- excess energy over the best structure of this formula in the dataset (eV/atom) = 0.0661
- formation energy from the elements (eV per atom) = -2.46
- calculated total energy (eV per atom) = -6.93
- magnetic moment (μB/f.u.) = 27.0

***

Entry 5:
Computed, not measured: a relaxed MgFe2Co4O8 crystal at the GGA+U level of DFT.

a b c (Å): 5.952 5.952 5.847
angles (deg): 71.84 77.95 119.27
Fractional positions:
O 0.723 0.066 0.740
O 0.770 0.958 0.278
O 0.283 0.074 0.711
Co 0.527 0.015 0.492
O 0.230 0.517 0.798
Co 0.185 0.199 0.143
O 0.752 0.545 0.708
O 0.832 0.526 0.188
Mg 0.767 0.257 0.993
Fe 0.533 0.521 0.492
Co 0.861 0.826 0.842
Co 0.025 0.516 0.494
O 0.303 0.490 0.275
O 0.324 0.960 0.246
Fe 0.281 0.770 0.993

Summary:
- excess energy over the best structure of this formula in the dataset (eV/atom) = 0.0611
- formation energy from the elements (eV per atom) = -1.42
- calculated total energy (eV per atom) = -6.09
- magnetic moment (μB/f.u.) = 4.0

***

Entry 6:
Computed, not measured: a relaxed MgMn4H2O8 crystal at the GGA+U level of DFT.

a b c (Å): 9.930 3.044 5.142
angles (deg): 90.00 89.01 90.00
Fractional positions:
O 0.020 0.750 0.156
H 0.400 0.250 0.961
Mn 0.654 0.250 0.459
O 0.532 0.750 0.349
Mg 0.595 0.750 0.974
Mn 0.138 0.250 0.023
O 0.233 0.750 0.856
O 0.741 0.250 0.090
H 0.988 0.250 0.542
O 0.279 0.250 0.351
Mn 0.347 0.750 0.536
O 0.974 0.250 0.731
O 0.728 0.750 0.655
Mn 0.871 0.750 0.917
O 0.474 0.250 0.831

Summary:
- excess energy over the best structure of this formula in the dataset (eV/atom) = 0.0083
- formation energy from the elements (eV per atom) = -1.90
- calculated total energy (eV per atom) = -6.73
- magnetic moment (μB/f.u.) = 16.0